Density functional theory data (r2SCAN) for crystalline Sc2Te5O13 at its relaxed geometry.

The structure in POSCAR format:
```
Sc2Te5O13
1.0
6.630 0.000 0.000
2.355 8.253 0.000
0.654 0.486 10.443
Sc Te O
4 10 26
direct
0.011 0.256 0.247
0.446 0.956 0.809
0.554 0.044 0.191
0.989 0.744 0.753
0.142 0.862 0.100
0.164 0.298 0.641
0.265 0.899 0.481
0.290 0.380 0.977
0.456 0.409 0.299
0.544 0.591 0.701
0.710 0.620 0.023
0.735 0.101 0.519
0.836 0.702 0.359
0.858 0.138 0.900
0.026 0.855 0.567
0.049 0.329 0.053
0.066 0.772 0.280
0.079 0.511 0.698
0.141 0.002 0.912
0.230 0.017 0.185
0.304 0.732 0.777
0.320 0.245 0.290
0.335 0.008 0.616
0.352 0.217 0.773
0.353 0.491 0.118
0.448 0.688 0.522
0.480 0.177 0.017
0.520 0.823 0.983
0.552 0.312 0.478
0.647 0.509 0.882
0.648 0.783 0.227
0.665 0.992 0.384
0.680 0.755 0.710
0.696 0.268 0.223
0.770 0.983 0.815
0.859 0.998 0.088
0.921 0.489 0.302
0.934 0.228 0.720
0.951 0.671 0.947
0.974 0.145 0.433
```

Computed properties:
E_form: -1.826 eV per atom
symmetry: P-1

***

Density functional theory data (r2SCAN) for crystalline Sc2Ti2O7 at its relaxed geometry.

The structure in POSCAR format:
```
Sc2Ti2O7
1.0
3.185 -4.461 0.000
3.185 4.461 0.000
-0.924 0.000 5.101
Sc Ti O
2 2 7
direct
0.187 0.813 0.000
0.813 0.187 0.000
0.245 0.245 0.605
0.755 0.755 0.395
0.068 0.068 0.269
0.099 0.444 0.800
0.444 0.099 0.800
0.500 0.500 0.500
0.556 0.901 0.200
0.901 0.556 0.200
0.932 0.932 0.731
```

Computed properties:
E_form: -3.550 eV per atom
symmetry: C2/m

***

Density functional theory data (r2SCAN) for crystalline ScVO4 at its relaxed geometry.

The structure in POSCAR format:
```
ScVO4
1.0
-3.401 3.401 3.067
3.401 -3.401 3.067
3.401 3.401 -3.067
Sc V O
2 2 8
direct
0.375 0.625 0.750
0.625 0.375 0.250
0.125 0.875 0.250
0.875 0.125 0.750
0.140 0.696 0.443
0.247 0.304 0.943
0.304 0.247 0.443
0.304 0.860 0.057
0.696 0.140 0.943
0.696 0.753 0.557
0.753 0.696 0.057
0.860 0.304 0.557
```

Computed properties:
E_form: -3.113 eV per atom
symmetry: I4_1/amd

***

Density functional theory data (r2SCAN) for crystalline YScO3 at its relaxed geometry.

The structure in POSCAR format:
```
YScO3
1.0
6.174 0.000 0.000
-3.087 5.347 0.000
0.000 0.000 12.195
Y Sc O
6 6 18
direct
0.000 0.000 0.000
0.000 0.000 0.500
0.333 0.667 0.462
0.333 0.667 0.962
0.667 0.333 0.462
0.667 0.333 0.962
0.000 0.334 0.227
0.000 0.666 0.727
0.334 0.000 0.227
0.334 0.334 0.727
0.666 0.000 0.727
0.666 0.666 0.227
0.000 0.000 0.202
0.000 0.000 0.702
0.000 0.308 0.395
0.000 0.359 0.061
0.000 0.641 0.561
0.000 0.692 0.895
0.308 0.000 0.395
0.308 0.308 0.895
0.333 0.667 0.248
0.333 0.667 0.748
0.359 0.000 0.061
0.359 0.359 0.561
0.641 0.000 0.561
0.641 0.641 0.061
0.667 0.333 0.248
0.667 0.333 0.748
0.692 0.000 0.895
0.692 0.692 0.395
```

Computed properties:
E_form: -3.856 eV per atom
symmetry: P6_3cm

***

Density functional theory data (r2SCAN) for crystalline Sc2ZnO4 at its relaxed geometry.

The structure in POSCAR format:
```
Sc2ZnO4
1.0
0.000 4.374 4.374
4.374 0.000 4.374
4.374 4.374 0.000
Sc Zn O
4 2 8
direct
0.000 0.000 0.000
0.000 0.000 0.500
0.000 0.500 0.000
0.500 0.000 0.000
0.375 0.375 0.375
0.625 0.625 0.625
0.224 0.759 0.759
0.241 0.241 0.241
0.241 0.241 0.776
0.241 0.776 0.241
0.759 0.224 0.759
0.759 0.759 0.224
0.759 0.759 0.759
0.776 0.241 0.241
```

Computed properties:
E_form: -3.182 eV per atom
symmetry: Fd-3m

***

Density functional theory data (r2SCAN) for crystalline SeO2 at its relaxed geometry.

The structure in POSCAR format:
```
SeO2
1.0
8.372 0.000 0.000
0.000 8.372 0.000
0.000 0.000 5.083
Se O
8 16
direct
0.135 0.207 0.000
0.207 0.865 0.500
0.293 0.365 0.500
0.365 0.707 0.000
0.635 0.293 0.000
0.707 0.635 0.500
0.793 0.135 0.500
0.865 0.793 0.000
0.057 0.826 0.000
0.139 0.361 0.250
0.139 0.361 0.750
0.174 0.057 0.500
0.326 0.557 0.500
0.361 0.861 0.250
0.361 0.861 0.750
0.443 0.326 0.000
0.557 0.674 0.000
0.639 0.139 0.250
0.639 0.139 0.750
0.674 0.443 0.500
0.826 0.943 0.500
0.861 0.639 0.250
0.861 0.639 0.750
0.943 0.174 0.000
```

Computed properties:
E_form: -0.716 eV per atom
symmetry: P4_2/mbc

***

Density functional theory data (r2SCAN) for crystalline SeO2 at its relaxed geometry.

The structure in POSCAR format:
```
SeO2
1.0
5.098 0.000 0.000
0.000 4.501 0.000
0.000 0.000 15.102
Se O
8 16
direct
0.000 0.007 0.000
0.000 0.472 0.252
0.000 0.528 0.752
0.000 0.993 0.500
0.500 0.153 0.688
0.500 0.391 0.940
0.500 0.609 0.440
0.500 0.847 0.188
0.000 0.115 0.234
0.000 0.347 0.477
0.000 0.653 0.977
0.000 0.885 0.734
0.249 0.431 0.671
0.249 0.569 0.171
0.250 0.113 0.921
0.250 0.887 0.421
0.500 0.024 0.587
0.500 0.476 0.339
0.500 0.524 0.839
0.500 0.976 0.087
0.750 0.113 0.921
0.750 0.887 0.421
0.751 0.431 0.671
0.751 0.569 0.171
```

Computed properties:
E_form: -0.707 eV per atom
symmetry: Pmc2_1

***

Density functional theory data (r2SCAN) for crystalline SeO2 at its relaxed geometry.

The structure in POSCAR format:
```
SeO2
1.0
5.097 0.000 0.000
0.000 4.485 0.000
0.000 0.000 7.641
Se O
4 8
direct
0.000 0.119 0.000
0.000 0.881 0.500
0.500 0.257 0.626
0.500 0.743 0.126
0.000 0.246 0.799
0.000 0.754 0.299
0.250 0.161 0.467
0.250 0.839 0.967
0.500 0.384 0.090
0.500 0.616 0.590
0.750 0.161 0.467
0.750 0.839 0.967
```

Computed properties:
E_form: -0.708 eV per atom
symmetry: Pmc2_1

***

Density functional theory data (r2SCAN) for crystalline SeO3 at its relaxed geometry.

The structure in POSCAR format:
```
SeO3
1.0
9.636 0.000 0.000
0.000 9.636 0.000
0.000 0.000 5.272
Se O
8 24
direct
0.011 0.227 0.438
0.227 0.989 0.562
0.273 0.489 0.938
0.489 0.727 0.062
0.511 0.273 0.062
0.727 0.511 0.938
0.773 0.011 0.562
0.989 0.773 0.438
0.058 0.657 0.611
0.101 0.246 0.187
0.102 0.118 0.660
0.118 0.898 0.340
0.157 0.558 0.111
0.246 0.899 0.813
0.254 0.399 0.687
0.343 0.058 0.389
0.382 0.398 0.160
0.398 0.618 0.840
0.399 0.746 0.313
0.442 0.157 0.889
0.558 0.843 0.889
0.601 0.254 0.313
0.602 0.382 0.840
0.618 0.602 0.160
0.657 0.942 0.389
0.746 0.601 0.687
0.754 0.101 0.813
0.843 0.442 0.111
0.882 0.102 0.340
0.898 0.882 0.660
0.899 0.754 0.187
0.942 0.343 0.611
```

Computed properties:
E_form: -0.365 eV per atom
symmetry: P-42_1c

***

Density functional theory data (r2SCAN) for crystalline Sm2Se2O at its relaxed geometry.

The structure in POSCAR format:
```
Sm2Se2O
1.0
8.750 0.000 0.000
0.000 7.221 0.000
-1.263 0.000 7.130
Sm Se O
8 8 4
direct
0.073 0.149 0.329
0.073 0.351 0.829
0.356 0.551 0.247
0.356 0.949 0.747
0.644 0.051 0.253
0.644 0.449 0.753
0.927 0.649 0.171
0.927 0.851 0.671
0.181 0.627 0.572
0.181 0.873 0.072
0.423 0.221 0.470
0.423 0.279 0.970
0.577 0.721 0.030
0.577 0.779 0.530
0.819 0.127 0.928
0.819 0.373 0.428
0.114 0.085 0.649
0.114 0.415 0.149
0.886 0.585 0.851
0.886 0.915 0.351
```

Computed properties:
E_form: -2.782 eV per atom
symmetry: P2_1/c

***

Density functional theory data (r2SCAN) for crystalline Sm2Se2O at its relaxed geometry.

The structure in POSCAR format:
```
Sm2Se2O
1.0
16.347 0.000 0.000
0.000 4.010 0.000
0.000 0.000 7.145
Sm Se O
8 8 4
direct
0.038 0.250 0.198
0.162 0.250 0.759
0.338 0.750 0.259
0.462 0.750 0.698
0.538 0.250 0.302
0.662 0.250 0.741
0.838 0.750 0.241
0.962 0.750 0.802
0.099 0.750 0.511
0.179 0.750 0.051
0.321 0.250 0.551
0.401 0.250 0.011
0.599 0.750 0.989
0.679 0.750 0.449
0.821 0.250 0.949
0.901 0.250 0.489
0.030 0.250 0.872
0.470 0.750 0.372
0.530 0.250 0.628
0.970 0.750 0.128
```

Computed properties:
E_form: -2.781 eV per atom
symmetry: Pnma

***

Density functional theory data (r2SCAN) for crystalline Sm4Se3O4 at its relaxed geometry.

The structure in POSCAR format:
```
Sm4Se3O4
1.0
8.392 0.000 0.000
0.000 1.976 6.376
0.000 -1.976 6.376
Sm Se O
4 3 4
direct
0.000 0.000 0.000
0.238 0.680 0.680
0.500 0.015 0.015
0.762 0.680 0.680
0.000 0.313 0.313
0.351 0.352 0.352
0.649 0.352 0.352
0.000 0.587 0.587
0.244 0.085 0.085
0.500 0.613 0.613
0.756 0.085 0.085
```

Computed properties:
E_form: -3.090 eV per atom
symmetry: Amm2

***

Density functional theory data (r2SCAN) for crystalline Sm2SeO2 at its relaxed geometry.

The structure in POSCAR format:
```
Sm2SeO2
1.0
3.938 0.000 0.000
-1.969 3.410 0.000
0.000 0.000 6.946
Sm Se O
2 1 2
direct
0.333 0.667 0.289
0.667 0.333 0.711
0.000 0.000 0.000
0.333 0.667 0.626
0.667 0.333 0.374
```

Computed properties:
E_form: -3.380 eV per atom
symmetry: P-3m1

***

Density functional theory data (r2SCAN) for crystalline Sm3Ti3Se2O8 at its relaxed geometry.

The structure in POSCAR format:
```
Sm3Ti3Se2O8
1.0
9.819 0.000 0.000
0.000 3.878 0.000
-4.843 0.000 12.522
Sm Ti Se O
6 6 4 16
direct
0.050 0.250 0.162
0.410 0.250 0.589
0.416 0.750 0.085
0.584 0.250 0.915
0.590 0.750 0.411
0.950 0.750 0.838
0.048 0.750 0.592
0.190 0.750 0.400
0.315 0.750 0.769
0.685 0.250 0.231
0.810 0.250 0.600
0.952 0.250 0.408
0.163 0.250 0.982
0.390 0.250 0.254
0.610 0.750 0.746
0.837 0.750 0.018
0.001 0.250 0.574
0.121 0.750 0.257
0.121 0.750 0.751
0.176 0.250 0.428
0.253 0.750 0.608
0.358 0.250 0.763
0.390 0.750 0.470
0.442 0.750 0.916
0.558 0.250 0.084
0.610 0.250 0.530
0.642 0.750 0.237
0.747 0.250 0.392
0.824 0.750 0.572
0.879 0.250 0.249
0.879 0.250 0.743
0.999 0.750 0.426
```

Computed properties:
E_form: -3.262 eV per atom
symmetry: P2_1/m